(1)
Entry from the Materials Project: a relaxed structure of Ge2Bi2Te5 (GGA-PBE).

Cell lengths 4.359, 4.359, 17.409 Å; angles 90.00, 90.00, 120.00 degrees
Element x y z (fractional)
Ge  0.333  0.667  0.101
Ge  0.667  0.333  0.899
Bi  0.000  0.000  0.318
Bi  0.000  0.000  0.682
Te  0.000  0.000  0.000
Te  0.333  0.667  0.420
Te  0.333  0.667  0.803
Te  0.667  0.333  0.197
Te  0.667  0.333  0.580

Values from the calculation:
SG: P-3m1

(2)
Entry from the Materials Project: a relaxed structure of GeBi4Te7 (GGA-PBE).

Cell lengths 4.413, 4.413, 24.671 Å; angles 90.00, 90.00, 120.00 degrees
Element x y z (fractional)
Ge  0.000  0.000  0.000
Bi  0.333  0.667  0.583
Bi  0.333  0.667  0.847
Bi  0.667  0.333  0.153
Bi  0.667  0.333  0.417
Te  0.000  0.000  0.223
Te  0.000  0.000  0.500
Te  0.000  0.000  0.777
Te  0.333  0.667  0.068
Te  0.333  0.667  0.346
Te  0.667  0.333  0.654
Te  0.667  0.333  0.932

Values from the calculation:
SG: P-3m1

Number 1: calculated formation energy -391 meV/atom, raw total energy -3.795 eV per atom. Number 2: calculated formation energy -454 meV/atom, raw total energy -3.723 eV per atom.